Density functional theory data (PBE) for crystalline Lu2CuB4O10 at its relaxed geometry.

```
Lu2CuB4O10
1.0
-2.5763 -3.4553 5.7753
3.3688 -3.0577 -0.3266
5.3245 5.2565 5.5201
O B Cu Lu
20 8 2 4
Direct
0.5898 0.3220 0.3611
0.4104 0.7875 0.3314
0.0898 0.6780 0.1389
0.4102 0.6780 0.6389
0.3381 0.3388 0.1964
0.1087 0.7731 0.5398
0.7242 0.6428 0.5507
0.2242 0.3572 0.9493
0.8381 0.6612 0.3036
0.0896 0.7875 0.8314
0.6619 0.6612 0.8036
0.5896 0.2125 0.6686
0.3913 0.7731 0.0398
0.9104 0.2125 0.1686
0.1619 0.3388 0.6964
0.7758 0.6428 0.0507
0.9102 0.3220 0.8611
0.2758 0.3572 0.4493
0.6087 0.2269 0.9602
0.8913 0.2269 0.4602
0.2296 0.5387 0.5786
0.2704 0.5387 0.0786
0.0976 0.4711 0.8355
0.9024 0.5289 0.1645
0.5976 0.5289 0.6645
0.7296 0.4613 0.9214
0.4024 0.4711 0.3355
0.7704 0.4613 0.4214
0.5000 0.0000 0.5000
0.0000 0.0000 0.0000
0.1021 0.0019 0.3360
0.3979 0.0019 0.8360
0.8979 0.9981 0.6640
0.6021 0.9981 0.1640
```

Output
The formation energy comes out at -293.1 kJ/mol of atoms.

---

Density functional theory data (PBE) for crystalline Mg14CuB at its relaxed geometry.

```
Mg14CuB
1.0
6.1479 0.0000 0.0000
-3.0739 5.3242 0.0000
0.0000 0.0000 10.0252
Mg B Cu
14 1 1
Direct
0.8464 0.1732 0.3768
0.6671 0.8329 0.1250
0.1648 0.8324 0.6250
0.3268 0.1732 0.3768
0.6676 0.8324 0.6250
0.8333 0.6667 0.3740
0.3268 0.6536 0.8732
0.3268 0.6536 0.3768
0.1658 0.8329 0.1250
0.3268 0.1732 0.8732
0.6676 0.3352 0.6250
0.6671 0.3342 0.1250
0.8464 0.1732 0.8732
0.8333 0.6667 0.8760
0.1667 0.3333 0.6250
0.1667 0.3333 0.1250
```

Output
The formation energy comes out at 18.3 kJ/mol of atoms. As for the polymorph energy (0 for the lowest one): 35.3 meV/atom.

---

Total DFT energy (no corrections) / eV per atom: -7.889 -1.884
Volume / Å³ per atom: 8.99 20.51